(1)
An optimized crystal structure of Tb3Dy. Source: Materials Project, functional PBE.

DFT formation energy, meV/atom: 20.5
Calculated volume, A^3/atom: 32.0

Cell and atoms, written as extended XYZ:
```
4
Lattice="-2.5203 2.5203 5.0398 2.5203 -2.5203 5.0398 2.5203 2.5203 -5.0398" Properties=species:S:1:pos:R:3 pbc="T T T"
Tb 0.0000 0.0000 0.0000
Tb 2.5203 0.0000 2.5199
Tb 0.0000 2.5203 2.5199
Dy 0.0000 0.0000 5.0398
```


(2)
An optimized crystal structure of SmGa2Se4. Source: Materials Project, functional PBE.

DFT formation energy, meV/atom: -1200.6
Calculated volume, A^3/atom: 25.4

Cell and atoms, written as extended XYZ:
```
56
Lattice="0.0000 10.2271 10.4856 6.6420 0.0000 10.4856 6.6420 10.2271 0.0000" Properties=species:S:1:pos:R:3 pbc="T T T"
Sm 4.9815 7.6703 2.5934
Sm 1.6605 2.5568 2.6214
Sm 8.3025 12.7838 7.8362
Sm 4.9815 7.6703 7.8642
Sm 8.3025 12.7838 13.1070
Sm 4.9815 7.6703 13.1350
Sm 11.6235 17.8974 18.3498
Sm 8.3025 12.7838 18.3778
Ga 8.7621 9.1883 5.2406
Ga 5.0287 4.8214 5.2290
Ga 8.7621 6.1523 10.4878
Ga 12.0831 11.2659 10.4834
Ga 8.2553 9.9350 10.4718
Ga 4.9343 4.8214 10.4994
Ga 4.9343 10.5192 5.2290
Ga 1.2010 6.1523 5.2406
Ga 12.0831 14.3018 15.7306
Ga 8.3497 9.9350 15.7423
Ga 8.3497 15.6327 10.4718
Ga 5.0287 10.5192 10.4994
Ga 1.2010 9.1883 10.4878
Ga 4.5220 14.3018 10.4834
Ga 8.2553 15.6327 15.7423
Ga 4.5220 11.2659 15.7306
Se 3.3382 5.1228 1.9800
Se 6.6206 5.1220 7.1668
Se 6.6248 10.2178 1.9800
Se 9.9458 10.2363 7.2229
Se 10.1257 8.3161 10.4702
Se 6.8047 3.2025 10.5010
Se 3.1584 3.2025 5.2274
Se 6.3484 8.4127 5.2259
Se 3.6146 6.9279 5.2259
Se 6.8047 12.1381 5.2274
Se 9.6694 12.0414 10.4687
Se 6.3484 6.9279 10.5025
Se 3.3424 5.1220 8.5616
Se 6.6248 5.1228 13.7484
Se 6.6206 10.2186 8.5616
Se 9.9416 10.2355 13.8045
Se 3.3424 10.2186 7.1668
Se 6.6634 10.2355 12.4096
Se 6.6592 15.3313 7.2229
Se 9.9416 15.3321 12.4096
Se 6.9356 13.5263 10.4687
Se 3.6146 8.4127 10.5025
Se 6.4794 8.3161 15.7439
Se 9.6694 13.5263 15.7453
Se 6.9356 12.0414 15.7453
Se 10.1257 17.2516 15.7439
Se 6.4794 17.2516 10.4702
Se 3.1584 12.1381 10.5010
Se 3.3382 10.2178 13.7484
Se 6.6592 10.2363 18.9912
Se 6.6634 15.3321 13.8045
Se 9.9458 15.3313 18.9912
```


(3)
An optimized crystal structure of Li3Cr2P3S12. Source: Materials Project, functional PBE.

DFT formation energy, meV/atom: -907.9
Calculated volume, A^3/atom: 22.7

Cell and atoms, written as extended XYZ:
```
80
Lattice="9.7084 0.0000 0.0000 0.0000 10.7378 0.0000 -8.3512 0.0000 17.4570" Properties=species:S:1:pos:R:3 pbc="T T T"
Li 0.3317 0.9637 2.6007
Li -3.8439 4.4053 11.3292
Li -1.6860 0.8624 8.0266
Li -5.8616 4.5065 16.7550
Li -3.7427 1.3583 13.5325
Li 0.4329 4.0106 4.8040
Li 0.9243 6.7272 12.6530
Li 5.0999 9.3796 3.9245
Li 7.2188 6.2313 0.7019
Li 3.0432 9.8755 9.4304
Li 5.2011 6.3326 6.1278
Li 1.0255 9.7742 14.8563
Cr 1.0141 7.8737 3.7300
Cr -3.1615 8.2331 12.4585
Cr -0.4468 7.7637 7.0086
Cr -4.6224 8.3431 15.7371
Cr 5.9796 2.3948 1.7199
Cr 1.8040 2.9742 10.4484
Cr 4.5187 2.5048 4.9985
Cr 0.3431 2.8641 13.7270
P -1.8814 6.8894 4.3727
P -6.0570 9.2174 13.1011
P -1.8690 7.9087 9.7080
P 2.3066 8.1980 0.9795
P -1.1508 2.1156 11.0324
P 3.0248 3.2534 2.3039
P -1.6676 7.4845 15.1531
P 2.5080 8.6223 6.4246
P -0.9494 2.5398 16.4774
P 3.2262 2.8291 7.7490
P 7.4142 1.5205 4.3558
P 3.2386 3.8484 13.0843
S -0.4999 6.0373 3.1027
S -4.6755 10.0694 11.8312
S -1.8533 5.9457 6.1998
S -6.0289 10.1610 14.9283
S -5.1667 7.3627 13.5520
S -0.9911 8.7441 4.8236
S -3.5389 6.9428 10.4571
S 0.6367 9.1639 1.7286
S -6.4235 7.1243 16.7095
S -2.2479 8.9824 7.9810
S -2.9149 2.3263 10.1436
S 1.2607 3.0426 1.4151
S -0.4358 1.6397 5.1340
S -4.6114 3.7293 13.8625
S 2.7611 6.8937 2.4799
S -1.4145 9.2131 11.2084
S -0.3790 6.6507 9.1241
S 3.7966 9.4561 0.3956
S 1.5218 6.8265 5.8968
S -2.6538 9.2802 14.6253
S -1.6161 6.5725 13.2981
S 2.5595 9.5343 4.5696
S -3.0470 6.6185 16.3919
S 1.1286 9.4883 7.6635
S 0.2286 1.2496 9.7935
S 4.4042 4.1194 1.0650
S -1.2023 1.2036 12.8873
S 2.9733 4.1653 4.1588
S 4.0110 1.4576 2.8317
S -0.1646 3.9113 11.5602
S -2.4394 1.2818 17.0614
S 1.7362 4.0872 8.3329
S 2.7717 1.5248 6.2486
S -1.4039 3.8442 14.9771
S 5.9686 7.0086 3.5944
S 1.7930 9.0982 12.3229
S 0.0965 7.6952 16.0419
S 4.2721 8.4115 7.3134
S 3.6051 1.7554 9.4759
S 7.7807 3.6135 0.7475
S 0.7205 1.5739 15.7284
S 4.8961 3.7950 6.9999
S 2.3483 1.9938 12.6334
S 6.5239 3.3752 3.9049
S 7.3861 0.5768 2.5287
S 3.2105 4.7921 11.2572
S 6.0327 0.6684 5.6258
S 1.8571 4.7005 14.3543
```


(4)
An optimized crystal structure of Ca2S2O7. Source: Materials Project, functional PBE.

DFT formation energy, meV/atom: -2266.3
Calculated volume, A^3/atom: 14.2

Cell and atoms, written as extended XYZ:
```
44
Lattice="11.0443 0.0000 0.0000 0.0000 5.6999 0.0000 0.0000 0.0000 9.9070" Properties=species:S:1:pos:R:3 pbc="T T T"
Ca 1.4432 0.3995 1.2758
Ca 1.4432 5.3005 6.2293
Ca 4.0790 2.4505 6.2293
Ca 4.0790 3.2495 1.2758
Ca 6.9653 2.4505 8.6312
Ca 6.9653 3.2495 3.6777
Ca 9.6011 0.3995 3.6777
Ca 9.6011 5.3005 8.6312
S 1.3806 2.1476 8.5895
S 1.3806 3.5524 3.6361
S 4.1416 0.7024 3.6361
S 4.1416 4.9975 8.5895
S 6.9027 0.7024 1.3174
S 6.9027 4.9975 6.2709
S 9.6637 2.1476 6.2709
S 9.6637 3.5524 1.3174
O 0.0000 1.7751 2.4767
O 0.0000 3.9248 7.4302
O 0.4613 0.9889 8.9625
O 0.4613 4.7111 4.0091
O 2.2007 1.6697 7.4057
O 2.2007 4.0302 2.4522
O 2.2968 2.3062 9.7914
O 2.2968 3.3937 4.8380
O 3.2253 0.5438 4.8380
O 3.2253 5.1562 9.7914
O 3.3215 1.1803 2.4522
O 3.3215 4.5197 7.4057
O 5.0608 1.8611 4.0091
O 5.0608 3.8389 8.9625
O 5.5222 1.0749 7.4302
O 5.5222 4.6251 2.4767
O 5.9835 1.8611 0.9444
O 5.9835 3.8389 5.8979
O 7.7228 1.1803 2.5013
O 7.7228 4.5197 7.4547
O 7.8190 0.5438 0.1155
O 7.8190 5.1562 5.0690
O 8.7475 2.3062 5.0690
O 8.7475 3.3937 0.1155
O 8.8436 1.6697 7.4547
O 8.8436 4.0302 2.5013
O 10.5830 0.9889 5.8979
O 10.5830 4.7111 0.9444
```


(5)
An optimized crystal structure of Sm2S3. Source: Materials Project, functional PBE.

DFT formation energy, meV/atom: -2351.7
Calculated volume, A^3/atom: 22.9

Cell and atoms, written as extended XYZ:
```
40
Lattice="-4.2466 4.2466 12.6994 4.2466 -4.2466 12.6994 4.2466 4.2466 -12.6994" Properties=species:S:1:pos:R:3 pbc="T T T"
Sm 3.0779 2.1938 -5.3547
Sm 0.0000 0.0000 4.2126
Sm 6.2994 1.1687 0.9950
Sm 1.1687 2.1938 -0.9950
Sm 2.1233 -1.0150 9.5245
Sm 3.2316 2.1233 3.1748
Sm 2.1233 5.2616 -3.1748
Sm 1.1687 2.0528 7.3447
Sm 2.0528 -1.1687 18.0541
Sm 0.0000 4.2466 2.1371
Sm 3.0779 2.0528 11.7044
Sm 0.0000 0.0000 21.1862
Sm 2.1938 5.4153 5.3547
Sm 1.0150 2.1233 15.8742
Sm -2.0528 3.0779 13.6944
Sm 0.0000 4.2466 10.5623
S 6.9922 0.5972 -1.6916
S 2.7016 -0.6167 3.6828
S 4.8633 -1.5450 9.0166
S 1.4473 -0.6806 6.7692
S 3.5661 1.4473 0.4195
S 3.6299 2.7016 -2.6669
S 5.7916 0.6167 3.6828
S 0.5972 1.5011 1.6916
S 2.7993 4.9272 -5.9302
S 2.7993 -0.6806 12.2799
S 0.5972 2.7455 4.6581
S 1.5450 -0.6167 15.3663
S 3.6299 1.5450 9.0166
S 3.5661 2.7993 5.9302
S 1.4473 4.9272 -0.4195
S 0.6167 1.5450 10.0325
S 2.7016 4.8633 2.6669
S -1.5011 3.6494 8.0413
S 0.6806 2.7993 13.1189
S -0.5972 5.7477 4.6581
S -2.7455 3.6494 11.0078
S 1.5011 4.8438 8.0413
S 3.6494 2.7455 14.3910
S 0.6806 1.4473 18.6296
```


(6)
An optimized crystal structure of Li3TiPCO7. Source: Materials Project, functional PBE.

DFT formation energy, meV/atom: -2428.7
Calculated volume, A^3/atom: 10.9

Cell and atoms, written as extended XYZ:
```
26
Lattice="4.9937 0.0000 0.0000 0.0000 6.6023 0.0000 -1.0102 0.0000 8.5618" Properties=species:S:1:pos:R:3 pbc="T T T"
Li 0.9173 1.6506 0.9315
Li 0.6031 3.4495 6.1396
Li 0.6031 6.4539 6.1396
Li 3.3804 0.1484 2.4222
Li 3.3804 3.1528 2.4222
Li 3.0661 4.9517 7.6304
Ti 0.7134 4.9517 2.7368
Ti 3.2701 1.6506 5.8250
P 0.9398 1.6506 3.5258
P 3.0437 4.9517 5.0361
C 1.6025 4.9517 0.2683
C 2.3810 1.6506 8.2935
O 0.3265 4.9517 0.5101
O 0.4905 0.4399 2.6420
O 0.4905 2.8612 2.6420
O 0.2527 1.6506 4.9050
O 1.0686 4.9517 7.6300
O 1.4925 4.9517 4.8623
O 1.5922 1.6506 7.2453
O 2.3912 4.9517 1.3165
O 2.4910 1.6506 3.6995
O 2.9149 1.6506 0.9318
O 3.7308 4.9517 3.6568
O 3.4929 3.7411 5.9198
O 3.4929 6.1623 5.9198
O 3.6569 1.6506 8.0517
```


(7)
An optimized crystal structure of Rb2Cu3P4O14. Source: Materials Project, functional PBE.

DFT formation energy, meV/atom: -2236.3
Calculated volume, A^3/atom: 14.1

Cell and atoms, written as extended XYZ:
```
46
Lattice="7.8288 0.0000 0.0000 0.0000 10.7797 0.0000 -1.9172 0.0000 7.6728" Properties=species:S:1:pos:R:3 pbc="T T T"
Rb 1.7807 2.0425 0.3525
Rb 0.8221 3.3473 4.1889
Rb 5.0895 7.4324 3.4839
Rb 4.1309 8.7371 7.3204
Cu 1.3503 6.4907 1.7710
Cu 0.3917 9.6788 5.6074
Cu 2.9558 0.0000 3.8364
Cu 3.9144 5.3898 0.0000
Cu 5.5199 1.1009 2.0654
Cu 4.5613 4.2890 5.9019
P -0.6797 5.9482 6.4127
P 0.2790 10.2213 2.5762
P 1.7113 7.1168 5.0364
P 2.6700 9.0527 1.2000
P 3.2417 1.7270 6.4728
P 4.2003 3.6628 2.6364
P 5.6327 0.5584 5.0966
P 6.5913 4.8314 1.2602
O -1.1100 0.0709 6.0628
O -0.1514 5.3190 2.2264
O -1.2468 6.7386 7.5957
O -0.2882 9.4309 3.7593
O 0.1394 7.0330 5.5034
O 1.0980 9.1365 1.6670
O 1.2824 0.5510 2.9471
O 0.3238 4.8389 6.7835
O 1.8693 6.4811 3.6676
O 0.9107 9.6884 7.5040
O 2.9520 7.5347 1.2456
O 1.9934 8.6348 5.0820
O 2.3717 0.9881 5.4383
O 3.3303 4.4017 1.6019
O 2.5813 6.3780 6.0709
O 3.5399 9.7916 2.2345
O 3.9182 2.1449 2.5908
O 2.9596 3.2449 6.4272
O 5.0009 1.0913 0.1688
O 4.0423 4.2985 4.0052
O 5.5878 5.9408 0.8893
O 4.6292 10.2287 4.7257
O 4.8136 1.6431 6.0059
O 5.7722 3.7467 2.1695
O 6.1998 1.3488 3.9136
O 7.1584 4.0410 0.0772
O 6.0630 5.4607 5.4465
O 7.0216 10.7088 1.6101
```


(8)
An optimized crystal structure of SrYMg6. Source: Materials Project, functional PBE.

DFT formation energy, meV/atom: -31.0
Calculated volume, A^3/atom: 27.3

Cell and atoms, written as extended XYZ:
```
16
Lattice="5.2601 0.0000 0.0000 0.0000 7.0927 0.0000 0.0000 0.0000 11.6879" Properties=species:S:1:pos:R:3 pbc="T T T"
Sr 0.0000 0.0000 6.9908
Sr 0.0000 3.5464 1.1468
Y 2.6301 0.0000 10.5650
Y 2.6301 3.5464 4.7211
Mg 2.6301 5.1212 7.7626
Mg 2.6301 1.9715 7.7626
Mg 2.6301 0.0000 4.7431
Mg 0.0000 5.4534 3.9782
Mg 0.0000 1.6393 3.9782
Mg 0.0000 0.0000 0.9711
Mg 2.6301 1.5749 1.9186
Mg 2.6301 5.5178 1.9186
Mg 2.6301 3.5464 10.5871
Mg 0.0000 1.9071 9.8221
Mg 0.0000 5.1856 9.8221
Mg 0.0000 3.5464 6.8150
```


> calculated volume of number 2 (SmGa2Se4)?

25.4 A^3/atom


> The highest DFT formation energy belongs to which entry?

Tb3Dy


> DFT formation energy of number 3 (Li3Cr2P3S12)?

-907.9 meV/atom


> What is the formula in the eighth record?

SrYMg6